The following is a DFT calculation (GGA-PBE) of Ho3Ga5O12 after structural relaxation.

```
data_Ho3Ga5O12
_chemical_formula_sum 'Ho24 Ga40 O96'
_symmetry_space_group_name_H-M 'I a -3 d'
_symmetry_Int_Tables_number 230
_symmetry_space_group_name_Hall '-I 4bd 2c 3'
_cell_length_a 12.381
_cell_length_b 12.381
_cell_length_c 12.381
_cell_angle_alpha 90.00
_cell_angle_beta 90.00
_cell_angle_gamma 90.00
loop_
_atom_site_label
_atom_site_type_symbol
_atom_site_fract_x
_atom_site_fract_y
_atom_site_fract_z
Ho1 Ho 0.000 0.250 0.125
Ga1 Ga 0.000 0.000 0.000
Ga2 Ga 0.000 0.250 0.375
O1 O 0.027 0.056 0.651
```

Computed properties:
Its energy of formation from the pure elements is -2.98 eV per atom.



The following is a DFT calculation (GGA-PBE) of Ho3GaO6 after structural relaxation.

```
data_Ho3GaO6
_chemical_formula_sum 'Ho12 Ga4 O24'
_symmetry_space_group_name_H-M 'C m c 21'
_symmetry_Int_Tables_number 36
_cell_length_a 8.863
_cell_length_b 11.115
_cell_length_c 5.420
_cell_angle_alpha 90.00
_cell_angle_beta 90.00
_cell_angle_gamma 90.00
loop_
_symmetry_equiv_pos_as_xyz
'x,y,z'
'-x,-y,z+1/2'
'-x,y,z'
'x,-y,z+1/2'
'x+1/2,y+1/2,z'
'-x+1/2,-y+1/2,z+1/2'
'-x+1/2,y+1/2,z'
'x+1/2,-y+1/2,z+1/2'
loop_
_atom_site_label
_atom_site_type_symbol
_atom_site_fract_x
_atom_site_fract_y
_atom_site_fract_z
Ho1 Ho 0.000 0.102 0.000
Ho2 Ho 0.194 0.395 0.952
Ga1 Ga 0.000 0.307 0.421
O1 O 0.000 0.285 0.760
O2 O 0.000 0.461 0.275
O3 O 0.159 0.235 0.241
O4 O 0.160 0.017 0.725
```

Computed properties:
The maximum piezoelectric response is 0.56 C/m². Its energy of formation from the pure elements is -3.61 eV per atom.



The following is a DFT calculation (GGA-PBE) of HoGa3Os after structural relaxation.

```
data_HoGa3Os
_chemical_formula_sum 'Ho3 Ga9 Os3'
_symmetry_space_group_name_H-M 'P m -3 m'
_symmetry_Int_Tables_number 221
_symmetry_space_group_name_Hall '-P 4 2 3'
_cell_length_a 6.427
_cell_length_b 6.427
_cell_length_c 6.427
_cell_angle_alpha 90.00
_cell_angle_beta 90.00
_cell_angle_gamma 90.00
loop_
_atom_site_label
_atom_site_type_symbol
_atom_site_fract_x
_atom_site_fract_y
_atom_site_fract_z
Ho1 Ho 0.000 0.000 0.500
Ga1 Ga 0.000 0.000 0.000
Ga2 Ga 0.288 0.288 0.288
Os1 Os 0.000 0.500 0.500
```

Computed properties:
Its energy of formation from the pure elements is -0.49 eV per atom.



The following is a DFT calculation (GGA-PBE) of Ho2GaOs after structural relaxation.

```
data_Ho2GaOs
_chemical_formula_sum 'Ho8 Ga4 Os4'
_symmetry_space_group_name_H-M 'F m -3 m'
_symmetry_Int_Tables_number 225
_symmetry_space_group_name_Hall '-F 4 2 3'
_cell_length_a 6.931
_cell_length_b 6.931
_cell_length_c 6.931
_cell_angle_alpha 90.00
_cell_angle_beta 90.00
_cell_angle_gamma 90.00
loop_
_atom_site_label
_atom_site_type_symbol
_atom_site_fract_x
_atom_site_fract_y
_atom_site_fract_z
Ho1 Ho 0.250 0.250 0.250
Ga1 Ga 0.000 0.000 0.000
Os1 Os 0.000 0.000 0.500
```

Computed properties:
Its energy of formation from the pure elements is -0.38 eV per atom.



The following is a DFT calculation (GGA-PBE) of HoGa2Pd after structural relaxation.

```
data_HoGa2Pd
_chemical_formula_sum 'Ho4 Ga8 Pd4'
_symmetry_space_group_name_H-M 'C m c m'
_symmetry_Int_Tables_number 63
_symmetry_space_group_name_Hall '-C 2c 2'
_cell_length_a 4.429
_cell_length_b 10.143
_cell_length_c 6.605
_cell_angle_alpha 90.00
_cell_angle_beta 90.00
_cell_angle_gamma 90.00
loop_
_atom_site_label
_atom_site_type_symbol
_atom_site_fract_x
_atom_site_fract_y
_atom_site_fract_z
Ho1 Ho 0.000 0.089 0.250
Ga1 Ga 0.000 0.373 0.053
Pd1 Pd 0.000 0.200 0.750
```

Computed properties:
Its energy of formation from the pure elements is -0.80 eV per atom.



The following is a DFT calculation (GGA-PBE) of Ho4Ga12Pd after structural relaxation.

```
data_Ho4Ga12Pd
_chemical_formula_sum 'Ho8 Ga24 Pd2'
_symmetry_space_group_name_H-M 'I m -3 m'
_symmetry_Int_Tables_number 229
_symmetry_space_group_name_Hall '-I 4 2 3'
_cell_length_a 8.637
_cell_length_b 8.637
_cell_length_c 8.637
_cell_angle_alpha 90.00
_cell_angle_beta 90.00
_cell_angle_gamma 90.00
loop_
_atom_site_label
_atom_site_type_symbol
_atom_site_fract_x
_atom_site_fract_y
_atom_site_fract_z
Ho1 Ho 0.250 0.250 0.250
Ga1 Ga 0.000 0.000 0.296
Ga2 Ga 0.000 0.250 0.500
Pd1 Pd 0.000 0.000 0.000
```

Computed properties:
Its energy of formation from the pure elements is -0.60 eV per atom.



The following is a DFT calculation (GGA-PBE) of HoGaPd after structural relaxation.

```
data_HoGaPd
_chemical_formula_sum 'Ho4 Ga4 Pd4'
_symmetry_space_group_name_H-M 'P n m a'
_symmetry_Int_Tables_number 62
_cell_length_a 6.902
_cell_length_b 4.486
_cell_length_c 7.640
_cell_angle_alpha 90.00
_cell_angle_beta 90.00
_cell_angle_gamma 90.00
loop_
_symmetry_equiv_pos_as_xyz
'x,y,z'
'-x,-y,-z'
'-x+1/2,-y,z+1/2'
'x+1/2,y,-z+1/2'
'x+1/2,-y+1/2,-z+1/2'
'-x+1/2,y+1/2,z+1/2'
'-x,y+1/2,-z'
'x,-y+1/2,z'
loop_
_atom_site_label
_atom_site_type_symbol
_atom_site_fract_x
_atom_site_fract_y
_atom_site_fract_z
Ho1 Ho 0.016 0.250 0.201
Ga1 Ga 0.183 0.250 0.578
Pd1 Pd 0.215 0.750 0.408
```

Computed properties:
Its energy of formation from the pure elements is -0.90 eV per atom.



The following is a DFT calculation (GGA-PBE) of Ho3Ga9Pd2 after structural relaxation.

```
data_Ho3Ga9Pd2
_chemical_formula_sum 'Ho6 Ga18 Pd4'
_symmetry_space_group_name_H-M 'I m m m'
_symmetry_Int_Tables_number 71
_symmetry_space_group_name_Hall '-I 2 2'
_cell_length_a 4.302
_cell_length_b 9.481
_cell_length_c 12.611
_cell_angle_alpha 90.00
_cell_angle_beta 90.00
_cell_angle_gamma 90.00
loop_
_atom_site_label
_atom_site_type_symbol
_atom_site_fract_x
_atom_site_fract_y
_atom_site_fract_z
Ho1 Ho 0.000 0.000 0.000
Ho2 Ho 0.000 0.000 0.300
Ga1 Ga 0.000 0.282 0.137
Ga2 Ga 0.000 0.367 0.345
Ga3 Ga 0.000 0.500 0.000
Pd1 Pd 0.000 0.182 0.500
```

Computed properties:
Its energy of formation from the pure elements is -0.65 eV per atom.



The following is a DFT calculation (GGA-PBE) of HoGaPt after structural relaxation.

```
data_HoGaPt
_chemical_formula_sum 'Ho4 Ga4 Pt4'
_symmetry_space_group_name_H-M 'P n m a'
_symmetry_Int_Tables_number 62
_cell_length_a 6.880
_cell_length_b 4.457
_cell_length_c 7.643
_cell_angle_alpha 90.00
_cell_angle_beta 90.00
_cell_angle_gamma 90.00
loop_
_symmetry_equiv_pos_as_xyz
'x,y,z'
'-x,-y,-z'
'-x+1/2,-y,z+1/2'
'x+1/2,y,-z+1/2'
'x+1/2,-y+1/2,-z+1/2'
'-x+1/2,y+1/2,z+1/2'
'-x,y+1/2,-z'
'x,-y+1/2,z'
loop_
_atom_site_label
_atom_site_type_symbol
_atom_site_fract_x
_atom_site_fract_y
_atom_site_fract_z
Ho1 Ho 0.015 0.250 0.202
Ga1 Ga 0.183 0.250 0.578
Pt1 Pt 0.215 0.750 0.406
```

Computed properties:
Its energy of formation from the pure elements is -1.10 eV per atom.



The following is a DFT calculation (GGA-PBE) of Ho4Ga12Pt after structural relaxation.

```
data_Ho4Ga12Pt
_chemical_formula_sum 'Ho8 Ga24 Pt2'
_symmetry_space_group_name_H-M 'I m -3 m'
_symmetry_Int_Tables_number 229
_symmetry_space_group_name_Hall '-I 4 2 3'
_cell_length_a 8.636
_cell_length_b 8.636
_cell_length_c 8.636
_cell_angle_alpha 90.00
_cell_angle_beta 90.00
_cell_angle_gamma 90.00
loop_
_atom_site_label
_atom_site_type_symbol
_atom_site_fract_x
_atom_site_fract_y
_atom_site_fract_z
Ho1 Ho 0.250 0.250 0.250
Ga1 Ga 0.000 0.000 0.296
Ga2 Ga 0.000 0.250 0.500
Pt1 Pt 0.000 0.000 0.000
```

Computed properties:
Its energy of formation from the pure elements is -0.62 eV per atom.



The following is a DFT calculation (GGA-PBE) of HoGaRh2 after structural relaxation.

```
data_HoGaRh2
_chemical_formula_sum 'Ho4 Ga4 Rh8'
_symmetry_space_group_name_H-M 'F m -3 m'
_symmetry_Int_Tables_number 225
_symmetry_space_group_name_Hall '-F 4 2 3'
_cell_length_a 6.447
_cell_length_b 6.447
_cell_length_c 6.447
_cell_angle_alpha 90.00
_cell_angle_beta 90.00
_cell_angle_gamma 90.00
loop_
_atom_site_label
_atom_site_type_symbol
_atom_site_fract_x
_atom_site_fract_y
_atom_site_fract_z
Ho1 Ho 0.000 0.000 0.000
Ga1 Ga 0.000 0.000 0.500
Rh1 Rh 0.250 0.250 0.250
```

Computed properties:
Its energy of formation from the pure elements is -0.84 eV per atom.



The following is a DFT calculation (GGA-PBE) of Ho3Ga15Ru4 after structural relaxation.

```
data_Ho3Ga15Ru4
_chemical_formula_sum 'Ho12 Ga60 Ru16'
_symmetry_space_group_name_H-M 'P n m a'
_symmetry_Int_Tables_number 62
_cell_length_a 8.808
_cell_length_b 9.639
_cell_length_c 17.847
_cell_angle_alpha 90.00
_cell_angle_beta 90.00
_cell_angle_gamma 90.00
loop_
_symmetry_equiv_pos_as_xyz
'x,y,z'
'-x,-y,-z'
'-x+1/2,-y,z+1/2'
'x+1/2,y,-z+1/2'
'x+1/2,-y+1/2,-z+1/2'
'-x+1/2,y+1/2,z+1/2'
'-x,y+1/2,-z'
'x,-y+1/2,z'
loop_
_atom_site_label
_atom_site_type_symbol
_atom_site_fract_x
_atom_site_fract_y
_atom_site_fract_z
Ho1 Ho 0.124 0.250 0.168
Ho2 Ho 0.125 0.250 0.748
Ho3 Ho 0.125 0.750 0.024
Ga1 Ga 0.007 0.750 0.669
Ga2 Ga 0.049 0.250 0.578
Ga3 Ga 0.123 0.061 0.465
Ga4 Ga 0.124 0.588 0.172
Ga5 Ga 0.126 0.070 0.033
Ga6 Ga 0.126 0.578 0.331
Ga7 Ga 0.127 0.561 0.753
Ga8 Ga 0.134 0.750 0.542
Ga9 Ga 0.195 0.250 0.918
Ga10 Ga 0.221 0.750 0.859
Ru1 Ru 0.117 0.504 0.891
Ru2 Ru 0.130 0.505 0.613
```

Computed properties:
Its energy of formation from the pure elements is -0.51 eV per atom.



Per-record energy, eV/atom: -6.9804; -7.8421; -5.4646; -6.2333; -4.7558; -4.1223; -5.1599; -4.3157; -5.6641; -4.1922; -6.4234; -4.8901